Record 1
YbZn2As2 after structural relaxation, computed with meta-GGA r2SCAN.

Cell lengths 4.236, 4.236, 6.365 Å; angles 90.00, 90.00, 120.00 degrees
Element x y z (fractional)
1 Yb 0.000 0.000 0.000
2 Zn 0.333 0.667 0.655
3 Zn 0.667 0.333 0.345
4 As 0.333 0.667 0.254
5 As 0.667 0.333 0.746

Output
Crystal system: trigonal
SG: No. 164

***

Record 2
ZnAs after structural relaxation, computed with meta-GGA r2SCAN.

Cell lengths 5.680, 7.245, 7.571 Å; angles 90.00, 90.00, 90.00 degrees
Element x y z (fractional)
1 Zn 0.038 0.115 0.133
2 Zn 0.038 0.385 0.633
3 Zn 0.462 0.615 0.133
4 Zn 0.462 0.885 0.633
5 Zn 0.538 0.115 0.367
6 Zn 0.538 0.385 0.867
7 Zn 0.962 0.615 0.367
8 Zn 0.962 0.885 0.867
9 As 0.136 0.574 0.899
10 As 0.136 0.926 0.399
11 As 0.364 0.074 0.899
12 As 0.364 0.426 0.399
13 As 0.636 0.574 0.601
14 As 0.636 0.926 0.101
15 As 0.864 0.074 0.601
16 As 0.864 0.426 0.101

Output
Crystal system: orthorhombic
SG: No. 61

***

Record 3
Zr3As after structural relaxation, computed with meta-GGA r2SCAN.

Cell lengths 11.022, 11.022, 5.471 Å; angles 90.00, 90.00, 90.00 degrees
Element x y z (fractional)
1 Zr 0.035 0.569 0.239
2 Zr 0.069 0.965 0.739
3 Zr 0.111 0.223 0.033
4 Zr 0.145 0.667 0.713
5 Zr 0.167 0.855 0.213
6 Zr 0.223 0.389 0.467
7 Zr 0.277 0.111 0.467
8 Zr 0.333 0.645 0.213
9 Zr 0.355 0.833 0.713
10 Zr 0.389 0.277 0.033
11 Zr 0.431 0.535 0.739
12 Zr 0.465 0.931 0.239
13 Zr 0.535 0.069 0.761
14 Zr 0.569 0.465 0.261
15 Zr 0.611 0.723 0.967
16 Zr 0.645 0.167 0.287
17 Zr 0.667 0.355 0.787
18 Zr 0.723 0.889 0.533
19 Zr 0.777 0.611 0.533
20 Zr 0.833 0.145 0.787
21 Zr 0.855 0.333 0.287
22 Zr 0.889 0.777 0.967
23 Zr 0.931 0.035 0.261
24 Zr 0.965 0.431 0.761
25 As 0.044 0.210 0.538
26 As 0.210 0.456 0.962
27 As 0.290 0.044 0.962
28 As 0.456 0.290 0.538
29 As 0.544 0.710 0.462
30 As 0.710 0.956 0.038
31 As 0.790 0.544 0.038
32 As 0.956 0.790 0.462

Output
Crystal system: tetragonal
SG: No. 86

***

Record 4
BaAu2 after structural relaxation, computed with meta-GGA r2SCAN.

Cell lengths 4.860, 4.860, 4.214 Å; angles 90.00, 90.00, 120.00 degrees
Element x y z (fractional)
1 Ba 0.000 0.000 0.000
2 Au 0.333 0.667 0.500
3 Au 0.667 0.333 0.500

Output
Crystal system: hexagonal
SG: No. 191

***

Record 5
BaAu5 after structural relaxation, computed with meta-GGA r2SCAN.

Cell lengths 5.855, 5.855, 4.525 Å; angles 90.00, 90.00, 120.00 degrees
Element x y z (fractional)
1 Ba 0.000 0.000 0.000
2 Au 0.000 0.500 0.500
3 Au 0.333 0.667 0.000
4 Au 0.500 0.000 0.500
5 Au 0.500 0.500 0.500
6 Au 0.667 0.333 0.000

Output
Crystal system: hexagonal
SG: No. 191

***

Record 6
BaAu2F12 after structural relaxation, computed with meta-GGA r2SCAN.

Cell lengths 10.463, 10.463, 10.463 Å; angles 90.00, 90.00, 90.00 degrees
Element x y z (fractional)
1 Ba 0.000 0.000 0.000
2 Ba 0.000 0.000 0.500
3 Ba 0.000 0.500 0.000
4 Ba 0.500 0.000 0.000
5 Au 0.249 0.249 0.249
6 Au 0.249 0.249 0.751
7 Au 0.249 0.751 0.249
8 Au 0.249 0.751 0.751
9 Au 0.751 0.249 0.249
10 Au 0.751 0.249 0.751
11 Au 0.751 0.751 0.249
12 Au 0.751 0.751 0.751
13 F 0.124 0.124 0.307
14 F 0.124 0.124 0.693
15 F 0.124 0.307 0.124
16 F 0.124 0.307 0.876
17 F 0.124 0.693 0.124
18 F 0.124 0.693 0.876
19 F 0.124 0.876 0.307
20 F 0.124 0.876 0.693
21 F 0.185 0.369 0.369
22 F 0.185 0.369 0.631
23 F 0.185 0.631 0.369
24 F 0.185 0.631 0.631
25 F 0.307 0.124 0.124
26 F 0.307 0.124 0.876
27 F 0.307 0.876 0.124
28 F 0.307 0.876 0.876
29 F 0.369 0.185 0.369
30 F 0.369 0.185 0.631
31 F 0.369 0.369 0.185
32 F 0.369 0.369 0.815
33 F 0.369 0.631 0.185
34 F 0.369 0.631 0.815
35 F 0.369 0.815 0.369
36 F 0.369 0.815 0.631
37 F 0.631 0.185 0.369
38 F 0.631 0.185 0.631
39 F 0.631 0.369 0.185
40 F 0.631 0.369 0.815
41 F 0.631 0.631 0.185
42 F 0.631 0.631 0.815
43 F 0.631 0.815 0.369
44 F 0.631 0.815 0.631
45 F 0.693 0.124 0.124
46 F 0.693 0.124 0.876
47 F 0.693 0.876 0.124
48 F 0.693 0.876 0.876
49 F 0.815 0.369 0.369
50 F 0.815 0.369 0.631
51 F 0.815 0.631 0.369
52 F 0.815 0.631 0.631
53 F 0.876 0.124 0.307
54 F 0.876 0.124 0.693
55 F 0.876 0.307 0.124
56 F 0.876 0.307 0.876
57 F 0.876 0.693 0.124
58 F 0.876 0.693 0.876
59 F 0.876 0.876 0.307
60 F 0.876 0.876 0.693

Output
Crystal system: cubic
SG: No. 221

***

Record 7
BaGeAu3 after structural relaxation, computed with meta-GGA r2SCAN.

Cell lengths 6.138, 6.138, 6.138 Å; angles 133.95, 133.95, 67.16 degrees
Element x y z (fractional)
1 Ba 0.000 0.000 0.000
2 Ge 0.353 0.353 0.000
3 Au 0.259 0.759 0.500
4 Au 0.603 0.603 0.000
5 Au 0.759 0.259 0.500

Output
Crystal system: tetragonal
SG: No. 107

***

Record 8
BaGe2Au5 after structural relaxation, computed with meta-GGA r2SCAN.

Cell lengths 9.025, 7.124, 10.903 Å; angles 90.00, 90.00, 90.00 degrees
Element x y z (fractional)
1 Ba 0.217 0.250 0.104
2 Ba 0.283 0.750 0.604
3 Ba 0.717 0.250 0.396
4 Ba 0.783 0.750 0.896
5 Ge 0.053 0.250 0.625
6 Ge 0.173 0.750 0.938
7 Ge 0.327 0.250 0.438
8 Ge 0.447 0.750 0.125
9 Ge 0.553 0.250 0.875
10 Ge 0.673 0.750 0.562
11 Ge 0.827 0.250 0.062
12 Ge 0.947 0.750 0.375
13 Au 0.086 0.053 0.387
14 Au 0.086 0.447 0.387
15 Au 0.105 0.044 0.827
16 Au 0.105 0.456 0.827
17 Au 0.166 0.750 0.168
18 Au 0.334 0.250 0.668
19 Au 0.395 0.544 0.327
20 Au 0.395 0.956 0.327
21 Au 0.414 0.553 0.887
22 Au 0.414 0.947 0.887
23 Au 0.586 0.053 0.113
24 Au 0.586 0.447 0.113
25 Au 0.605 0.044 0.673
26 Au 0.605 0.456 0.673
27 Au 0.666 0.750 0.332
28 Au 0.834 0.250 0.832
29 Au 0.895 0.544 0.173
30 Au 0.895 0.956 0.173
31 Au 0.914 0.553 0.613
32 Au 0.914 0.947 0.613

Output
Crystal system: orthorhombic
SG: No. 62

***

no.,ΔH_f (0 K) (eV/atom)
1,-0.659
2,-0.194
3,-0.841
4,-0.788
5,-0.474
6,-1.584
7,-0.545
8,-0.383